[1]
! TbAgS2 r²SCAN relaxed; values from VASP
! energy: -598.76 eV for the cell shown
! space-group type: P2_1
! calculated volume: 22.89 Å³ per atom
&SYSTEM
  ibrav = 0, nat = 32, ntyp = 3
/
ATOMIC_SPECIES
Tb 158.93 Tb.upf
Ag 107.87 Ag.upf
S 32.06 S.upf
ATOMIC_POSITIONS angstrom
Tb -5.281 0.457 1.048
Tb -9.227 1.726 7.018
Tb -4.624 -2.287 4.076
Tb -8.851 0.931 2.975
Tb -11.444 -2.181 4.012
Tb -3.070 4.385 4.061
Tb -2.726 3.559 0.074
Tb -10.752 -4.903 6.979
Ag -2.499 0.623 3.720
Ag -12.069 1.768 4.406
Ag -6.114 0.882 5.602
Ag -7.314 -2.398 1.402
Ag -5.915 4.237 1.352
Ag -8.552 -2.197 6.674
Ag -1.941 -0.145 -0.223
Ag -11.596 -0.999 7.334
S -4.202 2.681 2.251
S -9.365 -3.720 4.890
S -3.764 1.311 -1.101
S -10.641 0.519 9.067
S -3.939 -0.310 5.849
S -10.679 2.871 2.326
S -3.213 -1.060 2.028
S -10.376 0.093 5.134
S -6.679 -0.726 3.132
S -7.741 2.607 4.848
S -5.754 -3.437 6.328
S -7.635 1.785 0.637
S -1.947 5.540 1.800
S -12.655 -3.032 6.360
S -5.932 -1.491 -0.781
S -7.434 -0.237 7.725
CELL_PARAMETERS angstrom
-2.068 7.083 2.035
-6.426 -0.698 -4.101
-5.898 -4.600 10.019

=====

[2]
! Mo2N r²SCAN relaxed; values from VASP
! offset from the most stable computed form: 0.000 eV per atom
! energy: -124.55 eV for the cell shown
! space-group type: I4_1/amd
! calculated volume: 12.00 Å³ per atom
&SYSTEM
  ibrav = 0, nat = 6, ntyp = 2
/
ATOMIC_SPECIES
Mo 95.94 Mo.upf
N 14.01 N.upf
ATOMIC_POSITIONS angstrom
Mo -2.098 1.867 1.236
Mo -0.083 -0.231 1.365
Mo -2.858 -0.745 2.540
Mo -0.843 -2.843 2.670
N -1.648 -1.652 1.097
N -1.294 0.676 2.809
CELL_PARAMETERS angstrom
-3.009 -2.932 -0.680
1.728 -2.471 3.003
-1.661 4.426 1.583

=====

[3]
! Na15SnGe8P r²SCAN relaxed; values from VASP
! energy: -409.42 eV for the cell shown
! space-group type: Cmcm
! calculated volume: 24.79 Å³ per atom
&SYSTEM
  ibrav = 0, nat = 50, ntyp = 4
/
ATOMIC_SPECIES
Na 22.99 Na.upf
Sn 118.71 Sn.upf
Ge 72.64 Ge.upf
P 30.97 P.upf
ATOMIC_POSITIONS angstrom
Na -1.651 2.691 -6.427
Na -0.506 2.267 -2.816
Na -2.956 1.571 -1.456
Na -8.400 5.927 -7.268
Na -6.810 -1.656 -9.647
Na -5.732 1.929 -9.337
Na -4.539 7.023 -9.412
Na -9.706 1.069 -5.480
Na -1.244 -1.025 -2.766
Na -0.548 3.670 -10.565
Na -1.269 9.868 -8.693
Na -2.162 7.567 -3.489
Na -7.727 6.936 -10.370
Na -4.932 6.780 -1.951
Na -5.161 5.784 -6.338
Na -8.424 2.241 -2.571
Na -10.427 7.267 -3.609
Na 0.734 4.842 -7.656
Na -4.040 -0.869 -11.185
Na -5.512 1.595 -4.283
Na -3.460 4.316 -8.853
Na -4.433 -1.112 -3.724
Na -8.466 3.644 -10.320
Na 1.455 -1.356 -9.527
Na -7.321 3.220 -6.709
Na -3.240 3.982 -3.799
Na -6.016 4.340 -11.680
Na -7.703 -3.957 -4.443
Na -0.572 -0.016 -5.868
Na -3.811 0.128 -6.798
Sn -2.023 5.076 -1.048
Sn 0.000 0.000 0.000
Ge 1.349 2.478 -5.374
Ge -8.923 4.676 -4.439
Ge -1.535 6.774 -8.541
Ge -2.572 1.489 -9.287
Ge -2.070 5.652 -6.253
Ge -6.400 4.422 -3.849
Ge -10.321 3.433 -7.762
Ge -7.316 6.722 -4.324
Ge -3.068 5.493 -11.789
Ge -6.902 0.260 -6.883
Ge -2.986 7.951 -6.728
Ge -1.656 -0.810 -8.812
Ge -7.436 -0.863 -4.595
Ge -5.904 0.419 -1.347
Ge -5.985 -2.040 -6.408
Ge -0.049 1.235 -8.697
P -2.708 1.078 -4.325
P -6.264 4.834 -8.811
CELL_PARAMETERS angstrom
4.914 -0.026 -9.616
-9.839 -4.215 -1.425
-4.046 10.153 -2.096

=====

What did the second record say?
! Mo2N r²SCAN relaxed; values from VASP
! offset from the most stable computed form: 0.000 eV per atom
! energy: -124.55 eV for the cell shown
! space-group type: I4_1/amd
! calculated volume: 12.00 Å³ per atom
&SYSTEM
  ibrav = 0, nat = 6, ntyp = 2
/
ATOMIC_SPECIES
Mo 95.94 Mo.upf
N 14.01 N.upf
ATOMIC_POSITIONS angstrom
Mo -2.098 1.867 1.236
Mo -0.083 -0.231 1.365
Mo -2.858 -0.745 2.540
Mo -0.843 -2.843 2.670
N -1.648 -1.652 1.097
N -1.294 0.676 2.809
CELL_PARAMETERS angstrom
-3.009 -2.932 -0.680
1.728 -2.471 3.003
-1.661 4.426 1.583

=====

Question: Which formula does entry 1 have?
Answer: TbAgS2